Entry 1:
The following is a DFT calculation (GGA-PBE) of crystalline Ti2Re at its relaxed geometry.

```
Ti2Re
1.0
-2.085 3.769 -0.862
-2.299 -3.588 1.063
0.155 0.714 2.744
Re Ti
1 2
direct
0.000 0.000 0.000 Re
0.667 0.333 0.703 Ti
0.333 0.667 0.297 Ti
```

## Properties
* total energy: -29.19 eV per cell

---

Entry 2:
The following is a DFT calculation (GGA-PBE) of crystalline Ti5Re24 at its relaxed geometry.

```
Ti5Re24
1.0
-4.826 4.826 4.826
4.826 -4.826 4.826
4.826 4.826 -4.826
Re Ti
24 5
direct
0.000 0.375 0.193 Re
0.000 0.193 0.375 Re
0.601 0.601 0.283 Re
0.625 0.818 0.625 Re
0.318 0.717 0.318 Re
0.193 0.000 0.375 Re
0.399 0.682 0.000 Re
0.000 0.682 0.399 Re
0.375 0.193 0.000 Re
0.682 0.399 0.000 Re
0.625 0.625 0.818 Re
0.601 0.283 0.601 Re
0.807 0.807 0.182 Re
0.182 0.807 0.807 Re
0.283 0.601 0.601 Re
0.000 0.399 0.682 Re
0.807 0.182 0.807 Re
0.375 0.000 0.193 Re
0.193 0.375 0.000 Re
0.682 0.000 0.399 Re
0.717 0.318 0.318 Re
0.318 0.318 0.717 Re
0.399 0.000 0.682 Re
0.818 0.625 0.625 Re
0.000 0.000 0.632 Ti
0.000 0.000 0.000 Ti
0.368 0.368 0.368 Ti
0.000 0.632 0.000 Ti
0.632 0.000 0.000 Ti
```

## Properties
* total energy: -344.60 eV per cell

---

Entry 3:
The following is a DFT calculation (GGA-PBE) of crystalline TiVRe2 at its relaxed geometry.

```
TiVRe2
1.0
0.000 3.079 3.079
3.079 0.000 3.079
3.079 3.079 0.000
Re V Ti
2 1 1
direct
0.750 0.750 0.750 Re
0.250 0.250 0.250 Re
0.000 0.000 0.000 V
0.500 0.500 0.500 Ti
```

## Properties
* total energy: -43.46 eV per cell

---

Entry 4:
The following is a DFT calculation (GGA-PBE) of crystalline TiRe2W at its relaxed geometry.

```
TiRe2W
1.0
0.000 3.136 3.136
3.136 0.000 3.136
3.136 3.136 0.000
W Re Ti
1 2 1
direct
0.000 0.000 0.000 W
0.750 0.750 0.750 Re
0.250 0.250 0.250 Re
0.500 0.500 0.500 Ti
```

## Properties
* total energy: -47.12 eV per cell

---

Entry 5:
The following is a DFT calculation (GGA-PBE) of crystalline TlRe at its relaxed geometry.

```
TlRe
1.0
-3.131 -0.075 0.114
0.185 -4.194 2.342
0.247 6.007 10.736
Tl Re
4 4
direct
0.000 0.750 0.896 Tl
0.000 0.250 0.104 Tl
0.500 0.750 0.604 Tl
0.500 0.250 0.396 Tl
0.500 0.750 0.178 Re
0.500 0.250 0.822 Re
0.000 0.250 0.678 Re
0.000 0.750 0.322 Re
```

## Properties
* total energy: -51.29 eV per cell
* magnetic moment: 0.00 μB/f.u.
* distance to the lowest polymorph of the same formula: 0 meV/atom

---

Entry 6:
The following is a DFT calculation (GGA-PBE) of crystalline TlRe at its relaxed geometry.

```
TlRe
1.0
2.113 -4.020 2.675
-3.960 -2.992 1.775
1.538 1.757 -4.725
Re Tl
2 2
direct
0.086 0.336 0.750 Re
0.914 0.664 0.250 Re
0.361 0.111 0.250 Tl
0.639 0.889 0.750 Tl
```

## Properties
* total energy: -25.06 eV per cell
* magnetic moment: 0.00 μB/f.u.
* distance to the lowest polymorph of the same formula: 147 meV/atom

---

Entry 7:
The following is a DFT calculation (GGA-PBE) of crystalline URe2 at its relaxed geometry.

```
URe2
1.0
1.974 4.049 -2.926
-4.662 1.130 2.416
4.118 2.790 6.640
Re U
8 4
direct
0.166 0.341 0.250 Re
0.175 0.825 0.250 Re
0.000 0.000 0.000 Re
0.659 0.834 0.250 Re
0.341 0.166 0.750 Re
0.000 0.000 0.500 Re
0.834 0.659 0.750 Re
0.825 0.175 0.750 Re
0.338 0.662 0.586 U
0.662 0.338 0.086 U
0.662 0.338 0.414 U
0.338 0.662 0.914 U
```

## Properties
* total energy: -144.95 eV per cell
* magnetic moment: 0.03 μB/f.u.
* distance to the lowest polymorph of the same formula: 0 meV/atom

---

Entry 8:
The following is a DFT calculation (GGA-PBE) of crystalline URe2 at its relaxed geometry.

```
URe2
1.0
2.763 -4.785 0.000
2.763 4.785 0.000
0.000 0.000 8.265
U Re
4 8
direct
0.667 0.333 0.589 U
0.333 0.667 0.089 U
0.667 0.333 0.911 U
0.333 0.667 0.411 U
0.000 0.000 0.000 Re
0.171 0.829 0.750 Re
0.657 0.829 0.750 Re
0.000 0.000 0.500 Re
0.343 0.171 0.250 Re
0.829 0.171 0.250 Re
0.171 0.343 0.750 Re
0.829 0.657 0.250 Re
```

## Properties
* total energy: -144.75 eV per cell
* magnetic moment: 0.18 μB/f.u.
* distance to the lowest polymorph of the same formula: 16 meV/atom

---

Entry 9:
The following is a DFT calculation (GGA-PBE) of crystalline V2ReW at its relaxed geometry.

```
V2ReW
1.0
0.000 3.062 3.062
3.062 0.000 3.062
3.062 3.062 0.000
W V Re
1 2 1
direct
0.500 0.500 0.500 W
0.250 0.250 0.250 V
0.750 0.750 0.750 V
0.000 0.000 0.000 Re
```

## Properties
* total energy: -44.55 eV per cell

---

Entry 10:
The following is a DFT calculation (GGA-PBE) of crystalline Zr2VRe3 at its relaxed geometry.

```
Zr2VRe3
1.0
2.663 -4.613 0.000
2.663 4.613 0.000
0.000 0.000 8.545
Zr Re V
4 6 2
direct
0.667 0.333 0.937 Zr
0.333 0.667 0.063 Zr
0.333 0.667 0.437 Zr
0.667 0.333 0.563 Zr
0.663 0.832 0.750 Re
0.337 0.168 0.250 Re
0.832 0.168 0.250 Re
0.168 0.337 0.750 Re
0.168 0.832 0.750 Re
0.832 0.663 0.250 Re
0.000 0.000 0.000 V
0.000 0.000 0.500 V
```

## Properties
* total energy: -131.58 eV per cell

---

Entry 11:
The following is a DFT calculation (GGA-PBE) of crystalline Re3W at its relaxed geometry.

```
Re3W
1.0
2.796 -4.843 0.000
2.796 4.843 0.000
0.000 0.000 4.552
Re W
6 2
direct
0.166 0.333 0.250 Re
0.834 0.166 0.750 Re
0.834 0.667 0.750 Re
0.667 0.834 0.250 Re
0.166 0.834 0.250 Re
0.333 0.166 0.750 Re
0.667 0.333 0.250 W
0.333 0.667 0.750 W
```

## Properties
* total energy: -99.54 eV per cell
* magnetic moment: 0.00 μB/f.u.
* distance to the lowest polymorph of the same formula: 3 meV/atom

---

Entry 12:
The following is a DFT calculation (GGA-PBE) of crystalline Re2W at its relaxed geometry.

```
Re2W
1.0
-3.851 1.293 -3.141
3.439 -3.520 -1.467
-4.755 -6.039 3.343
Re W
8 4
direct
0.172 0.828 0.750 Re
0.000 0.000 0.500 Re
0.000 0.000 0.000 Re
0.655 0.828 0.750 Re
0.828 0.172 0.250 Re
0.345 0.172 0.250 Re
0.172 0.345 0.750 Re
0.828 0.655 0.250 Re
0.333 0.667 0.067 W
0.667 0.333 0.933 W
0.333 0.667 0.433 W
0.667 0.333 0.567 W
```

## Properties
* total energy: -149.06 eV per cell
* magnetic moment: 0.00 μB/f.u.

---

Entry 13:
The following is a DFT calculation (GGA-PBE) of crystalline ReW3 at its relaxed geometry.

```
ReW3
1.0
1.579 -2.245 0.000
1.579 2.245 0.000
0.000 0.000 8.980
W Re
3 1
direct
0.000 0.000 0.500 W
0.500 0.500 0.249 W
0.500 0.500 0.751 W
0.000 0.000 0.000 Re
```

## Properties
* total energy: -51.04 eV per cell
* magnetic moment: 0.01 μB/f.u.
* distance to the lowest polymorph of the same formula: 51 meV/atom

---

Entry 14:
The following is a DFT calculation (GGA-PBE) of crystalline ReW3 at its relaxed geometry.

```
ReW3
1.0
-3.745 3.393 -0.128
-1.857 -2.207 -4.151
-2.842 -3.028 2.882
W Re
6 2
direct
0.750 0.000 0.500 W
0.500 0.750 0.000 W
0.250 0.000 0.500 W
0.500 0.250 0.000 W
0.000 0.500 0.250 W
0.000 0.500 0.750 W
0.000 0.000 0.000 Re
0.500 0.500 0.500 Re
```

## Properties
* total energy: -102.48 eV per cell
* distance to the lowest polymorph of the same formula: 0 meV/atom

---

Entry 15:
The following is a DFT calculation (GGA-PBE) of crystalline Re3W at its relaxed geometry.

```
Re3W
1.0
-1.979 1.979 3.939
1.979 -1.979 3.939
1.979 1.979 -3.939
Re W
3 1
direct
0.750 0.250 0.500 Re
0.250 0.750 0.500 Re
0.500 0.500 0.000 Re
0.000 0.000 0.000 W
```

## Properties
* total energy: -49.78 eV per cell
* magnetic moment: 0.00 μB/f.u.
* distance to the lowest polymorph of the same formula: 0 meV/atom

---

Entry 16:
The following is a DFT calculation (GGA-PBE) of crystalline YRe2 at its relaxed geometry.

```
YRe2
1.0
2.719 -4.710 0.000
2.719 4.710 0.000
0.000 0.000 8.857
Re Y
8 4
direct
0.658 0.829 0.750 Re
0.829 0.658 0.250 Re
0.829 0.171 0.250 Re
0.171 0.342 0.750 Re
0.342 0.171 0.250 Re
0.171 0.829 0.750 Re
0.000 0.000 0.000 Re
0.000 0.000 0.500 Re
0.667 0.333 0.563 Y
0.667 0.333 0.937 Y
0.333 0.667 0.063 Y
0.333 0.667 0.437 Y
```

## Properties
* total energy: -128.04 eV per cell

---

Entry 17:
The following is a DFT calculation (GGA-PBE) of crystalline ZnRe at its relaxed geometry.

```
ZnRe
1.0
1.374 -2.380 0.000
1.374 2.380 0.000
0.000 0.000 4.494
Zn Re
1 1
direct
0.000 0.000 0.000 Zn
0.333 0.667 0.500 Re
```

## Properties
* total energy: -13.26 eV per cell
* magnetic moment: 0.00 μB/f.u.

---

Entry 18:
The following is a DFT calculation (GGA-PBE) of crystalline Ru3Rh at its relaxed geometry.

```
Ru3Rh
1.0
-1.675 3.696 3.674
0.376 1.371 -5.286
-4.093 -1.245 -0.614
Ru Rh
6 2
direct
0.834 0.667 0.750 Ru
0.166 0.834 0.250 Ru
0.166 0.333 0.250 Ru
0.333 0.166 0.750 Ru
0.834 0.166 0.750 Ru
0.667 0.834 0.250 Ru
0.333 0.667 0.750 Rh
0.667 0.333 0.250 Rh
```

## Properties
* total energy: -70.27 eV per cell

---

Entry 19:
The following is a DFT calculation (GGA-PBE) of crystalline RuRh at its relaxed geometry.

```
RuRh
1.0
1.367 -2.367 0.000
1.367 2.367 0.000
0.000 0.000 4.338
Ru Rh
1 1
direct
0.000 0.000 0.500 Ru
0.667 0.333 0.000 Rh
```

## Properties
* total energy: -16.57 eV per cell

---

Entry 20:
The following is a DFT calculation (GGA-PBE) of crystalline RuRh4 at its relaxed geometry.

```
RuRh4
1.0
-3.157 -7.215 7.906
-0.485 -7.720 8.042
-1.559 -5.674 9.481
Rh Ru
4 1
direct
0.800 0.800 0.800 Rh
0.601 0.601 0.601 Rh
0.399 0.399 0.399 Rh
0.200 0.200 0.200 Rh
0.000 0.000 0.000 Ru
```

## Properties
* total energy: -38.66 eV per cell
* magnetic moment: 0.00 μB/f.u.

---

Entry 21:
The following is a DFT calculation (GGA-PBE) of crystalline RuRhS4 at its relaxed geometry.

```
RuRhS4
1.0
-2.778 1.324 -4.806
-4.516 -2.974 1.792
-2.098 4.682 2.503
S Ru Rh
8 2 2
direct
0.113 0.619 0.112 S
0.887 0.381 0.888 S
0.117 0.110 0.383 S
0.617 0.890 0.117 S
0.383 0.110 0.883 S
0.613 0.381 0.388 S
0.387 0.619 0.612 S
0.883 0.890 0.617 S
0.000 0.000 0.000 Ru
0.500 0.000 0.500 Ru
0.000 0.500 0.500 Rh
0.500 0.500 0.000 Rh
```

## Properties
* total energy: -71.76 eV per cell
* magnetic moment: 0.00 μB/f.u.

---

Entry 22:
The following is a DFT calculation (GGA-PBE) of crystalline TbSi2RuRh at its relaxed geometry.

```
TbSi2RuRh
1.0
5.618 0.059 -0.988
3.548 -0.196 4.463
-4.576 -2.847 -1.871
Si Rh Tb Ru
2 1 1 1
direct
0.627 0.627 0.000 Si
0.373 0.373 0.000 Si
0.250 0.750 0.500 Rh
0.000 0.000 0.000 Tb
0.750 0.250 0.500 Ru
```

## Properties
* total energy: -37.31 eV per cell
* magnetic moment: 0.00 μB/f.u.

---

Entry 23:
The following is a DFT calculation (GGA-PBE) of crystalline U2Si5Ru2Rh at its relaxed geometry.

```
U2Si5Ru2Rh
1.0
1.001 -6.828 4.298
1.409 4.747 6.448
-4.264 -0.530 3.663
Rh Ru U Si
2 4 4 10
direct
0.000 0.000 0.750 Rh
0.000 0.000 0.250 Rh
0.746 0.459 0.366 Ru
0.254 0.541 0.634 Ru
0.459 0.746 0.866 Ru
0.541 0.254 0.134 Ru
0.408 0.134 0.733 U
0.134 0.408 0.233 U
0.592 0.866 0.267 U
0.866 0.592 0.767 U
0.223 0.777 0.250 Si
0.207 0.793 0.750 Si
0.939 0.734 0.165 Si
0.793 0.207 0.250 Si
0.734 0.939 0.665 Si
0.061 0.266 0.835 Si
0.486 0.514 0.250 Si
0.514 0.486 0.750 Si
0.777 0.223 0.750 Si
0.266 0.061 0.335 Si
```

## Properties
* total energy: -163.89 eV per cell
* magnetic moment: 3.69 μB/f.u.

---

Entry 24:
The following is a DFT calculation (GGA-PBE) of crystalline Rh2S3 at its relaxed geometry.

```
Rh2S3
1.0
-6.254 1.015 -0.337
-3.851 -0.272 5.036
-2.842 5.096 2.492
Rh S
4 6
direct
0.650 0.650 0.650 Rh
0.350 0.350 0.350 Rh
0.850 0.850 0.850 Rh
0.150 0.150 0.150 Rh
0.049 0.451 0.750 S
0.750 0.049 0.451 S
0.549 0.250 0.951 S
0.951 0.549 0.250 S
0.250 0.951 0.549 S
0.451 0.750 0.049 S
```

## Properties
* total energy: -58.86 eV per cell